(1)
A relaxed MgFe10O9F11 crystal, computed with PBE with a Hubbard U.

The structure in POSCAR format:
```
MgFe10O9F11
1.0
-3.9938 -2.6772 1.2141
1.4946 -2.8502 -3.6863
8.5198 -8.4710 9.5177
Fe O F Mg
10 9 11 1
direct
0.5017 0.4989 0.9079
0.4946 0.4506 0.4898
0.0248 0.9889 0.5956
0.0033 0.9979 0.0018
0.2550 0.4971 0.6895
0.9997 0.9671 0.4010
0.0065 0.9884 0.2009
0.5064 0.4952 0.1019
0.5043 0.4824 0.2973
0.0398 0.0365 0.8168
0.3082 0.2604 0.3958
0.1622 0.8482 0.7111
0.3724 0.3055 0.8045
0.3082 0.2852 0.2013
0.6983 0.7074 0.0031
0.3135 0.2889 0.0050
0.7033 0.6902 0.2014
0.6937 0.6789 0.4005
0.3652 0.2647 0.5951
0.6515 0.7774 0.6131
0.1823 0.7487 0.4945
0.8679 0.2627 0.7011
0.1847 0.7846 0.3004
0.8298 0.2398 0.9126
0.1876 0.7995 0.1037
0.8233 0.1863 0.1037
0.8251 0.1892 0.4907
0.8224 0.1700 0.3004
0.1951 0.7803 0.9128
0.6686 0.8035 0.8112
0.5284 0.0398 0.7105
```

Results
Offset from the most stable computed form ... 0 meV/atom
Size of the total moment ... 47.0 μB per cell
Formation energy from the elements ... -201 kJ per mole of atoms
Total energy after the MP2020 corrections ... -6.99 eV per atom


(2)
A relaxed MgFe12O12F12 crystal, computed with PBE with a Hubbard U.

The structure in POSCAR format:
```
MgFe12O12F12
1.0
-1.9492 0.0015 -9.4932
13.7856 -4.1964 -2.4539
-0.8768 -2.9852 0.1795
F Fe O Mg
12 12 12 1
direct
0.3896 0.7366 0.5000
0.1663 0.7784 0.0000
0.8642 0.2236 0.0000
0.6044 0.2656 0.5000
0.3531 0.5644 0.0000
0.8857 0.7407 0.5000
0.8443 0.8928 0.0000
0.3623 0.2301 0.0000
0.1015 0.6106 0.5000
0.4106 0.0744 0.5000
0.8877 0.5609 0.0000
0.9058 0.3734 0.5000
0.0314 0.3149 0.0000
0.2589 0.8677 0.5000
0.2372 0.1557 0.5000
0.5021 0.6818 0.0000
0.5889 0.4880 0.5000
0.5194 0.9996 0.0000
0.2570 0.4835 0.5000
0.7235 0.8395 0.5000
0.0042 0.6913 0.0000
0.0116 0.0006 0.0000
0.5088 0.3252 0.0000
0.7639 0.1366 0.5000
0.0948 0.9338 0.5000
0.6518 0.4284 0.0000
0.6064 0.9438 0.5000
0.9115 0.0569 0.5000
0.6398 0.7761 0.0000
0.1246 0.2678 0.5000
0.3579 0.9113 0.0000
0.4266 0.3977 0.5000
0.1624 0.0998 0.0000
0.6541 0.1059 0.0000
0.1118 0.4446 0.0000
0.5764 0.6137 0.5000
0.9781 0.4982 0.5000
```

Results
Offset from the most stable computed form ... 15 meV/atom
Size of the total moment ... 58.0 μB per cell
Formation energy from the elements ... -201 kJ per mole of atoms
Total energy after the MP2020 corrections ... -7.09 eV per atom


(3)
A relaxed MgFe6O11F crystal, computed with PBE with a Hubbard U.

The structure in POSCAR format:
```
MgFe6O11F
1.0
4.7910 -0.0696 -0.0040
-0.0696 4.8527 0.0033
-0.0037 0.0028 8.8585
Fe O Mg F
6 11 1 1
direct
0.0079 0.9811 0.0169
0.0061 0.9841 0.6413
0.0062 0.9944 0.3289
0.5116 0.4912 0.1658
0.5073 0.4960 0.4921
0.4452 0.5278 0.8289
0.1879 0.7886 0.1704
0.6986 0.6975 0.3290
0.3381 0.2808 0.6724
0.1537 0.8075 0.8285
0.6509 0.7332 0.6751
0.6519 0.7319 0.9826
0.8256 0.1935 0.1651
0.1855 0.7894 0.4889
0.3181 0.2882 0.3294
0.8248 0.1941 0.4926
0.3392 0.2793 0.9852
0.5087 0.0223 0.8290
0.8467 0.2329 0.8280
```

Results
Offset from the most stable computed form ... 122 meV/atom
Size of the total moment ... 25.0 μB per cell
Formation energy from the elements ... -147 kJ per mole of atoms
Total energy after the MP2020 corrections ... -7.25 eV per atom


(4)
A relaxed MgFe4O4F4 crystal, computed with PBE with a Hubbard U.

The structure in POSCAR format:
```
MgFe4O4F4
1.0
5.8002 0.1186 0.3878
0.1338 5.2767 -0.8305
-0.4886 -1.0676 5.7110
O Fe F Mg
4 4 4 1
direct
0.7732 0.6637 0.5672
0.9052 0.7347 0.0561
0.0198 0.2101 0.9683
0.1331 0.2940 0.4363
0.1532 0.9829 0.1401
0.7129 0.9736 0.8730
0.9384 0.5179 0.2695
0.4480 0.4943 0.5134
0.2521 0.7381 0.3472
0.6081 0.2731 0.1819
0.3762 0.7951 0.8865
0.6231 0.2470 0.6812
0.9319 0.4089 0.7356
```

Results
Offset from the most stable computed form ... 5 meV/atom
Size of the total moment ... 18.0 μB per cell
Formation energy from the elements ... -213 kJ per mole of atoms
Total energy after the MP2020 corrections ... -7.04 eV per atom


(5)
A relaxed MgFe12O12F12 crystal, computed with PBE with a Hubbard U.

The structure in POSCAR format:
```
MgFe12O12F12
1.0
-4.8558 -0.0062 8.5343
7.6957 -11.2457 5.0321
2.1076 1.9795 1.2006
Fe F O Mg
12 12 12 1
direct
0.2083 0.4484 0.5000
0.5564 0.6705 0.0000
0.5297 0.0034 0.0000
0.9967 0.3147 0.0000
0.7173 0.4821 0.5000
0.9741 0.6523 0.0000
0.7406 0.8406 0.5000
0.4856 0.3417 0.0000
0.2690 0.9202 0.5000
0.7408 0.1506 0.5000
0.2318 0.1614 0.5000
0.9999 0.0140 0.0000
0.3502 0.6048 0.0000
0.8449 0.5473 0.0000
0.1558 0.7292 0.0000
0.5835 0.2702 0.5000
0.4338 0.7360 0.5000
0.8305 0.2378 0.0000
0.9031 0.7313 0.5000
0.3410 0.2369 0.0000
0.8831 0.3889 0.5000
0.1104 0.5855 0.5000
0.8511 0.8956 0.0000
0.4127 0.0811 0.5000
0.6460 0.1110 0.0000
0.0790 0.9432 0.5000
0.9014 0.0743 0.5000
0.6153 0.5998 0.5000
0.1625 0.1008 0.0000
0.3910 0.3977 0.5000
0.1127 0.4234 0.0000
0.3778 0.9195 0.0000
0.6182 0.9462 0.5000
0.0878 0.2635 0.5000
0.6717 0.7720 0.0000
0.6396 0.4269 0.0000
0.2611 0.6760 0.5000
```

Results
Offset from the most stable computed form ... 57 meV/atom
Size of the total moment ... 57.7 μB per cell
Formation energy from the elements ... -196 kJ per mole of atoms
Total energy after the MP2020 corrections ... -7.05 eV per atom


(6)
A relaxed MgFe6O11F crystal, computed with PBE with a Hubbard U.

The structure in POSCAR format:
```
MgFe6O11F
1.0
-4.8520 4.4873 2.8207
0.3806 4.9760 -2.9791
-5.1780 -0.3152 -2.8492
O F Fe Mg
11 1 6 1
direct
0.7160 0.0391 0.1607
0.3709 0.4051 0.4713
0.9752 0.3188 0.6734
0.9449 0.2880 0.1996
0.3081 0.9773 0.3434
0.6738 0.0307 0.6852
0.6294 0.5986 0.5214
0.0247 0.6615 0.3496
0.6390 0.6763 0.9944
0.0281 0.7641 0.8034
0.3515 0.3219 0.0320
0.2883 0.9363 0.8603
0.9816 0.0909 0.9370
0.8255 0.6777 0.6664
0.1703 0.3224 0.3519
0.3234 0.7136 0.5890
0.6619 0.2609 0.4218
0.5019 0.0064 0.0172
0.8448 0.6603 0.1599
```

Results
Offset from the most stable computed form ... 19 meV/atom
Size of the total moment ... 27.0 μB per cell
Formation energy from the elements ... -157 kJ per mole of atoms
Total energy after the MP2020 corrections ... -7.35 eV per atom